# 1
## LiMnF4 (PBE+U)

Data for a relaxed structure of LiMnF4.

Results
For the calculated density, the calculation gives 3.0 g/cm3. The calculation puts the formation enthalpy at 0 K at -2841 meV per atom. Its electronic total energy is -0.3951 Ry per atom. Its volume is 12.659 A^3/atom.

Cell lengths 5.442, 5.442, 7.697 Å; angles 90.00, 90.00, 138.20 degrees
Fractional positions:
1 Li 0.231 0.769 0.750
2 Li 0.769 0.231 0.250
3 Mn 0.500 0.500 0.000
4 Mn 0.500 0.500 0.500
5 F 0.000 0.000 0.000
6 F 0.000 0.000 0.500
7 F 0.331 0.669 0.085
8 F 0.331 0.669 0.415
9 F 0.419 0.581 0.750
10 F 0.581 0.419 0.250
11 F 0.669 0.331 0.585
12 F 0.669 0.331 0.915

---

# 2
## Mo2P3O12 (PBE+U)

Data for a relaxed structure of Mo2P3O12.

Results
For the calculated density, the calculation gives 3.2 g/cm3. The calculation puts the formation enthalpy at 0 K at -2443 meV per atom. Its electronic total energy is -0.5369 Ry per atom. Its volume is 14.706 A^3/atom.

Cell lengths 8.761, 8.777, 9.040 Å; angles 61.18, 61.06, 60.08 degrees
Fractional positions:
1 Mo 0.000 0.000 0.000
2 Mo 0.209 0.211 0.361
3 Mo 0.496 0.502 0.497
4 Mo 0.715 0.712 0.857
5 P 0.107 0.822 0.677
6 P 0.319 0.609 0.179
7 P 0.390 0.108 0.679
8 P 0.609 0.889 0.178
9 P 0.818 0.389 0.678
10 P 0.886 0.319 0.180
11 O 0.053 0.297 0.213
12 O 0.080 0.853 0.844
13 O 0.112 0.993 0.514
14 O 0.141 0.784 0.146
15 O 0.222 0.086 0.852
16 O 0.296 0.658 0.646
17 O 0.298 0.439 0.200
18 O 0.334 0.600 0.347
19 O 0.353 0.128 0.520
20 O 0.408 0.294 0.641
21 O 0.433 0.057 0.210
22 O 0.482 0.649 0.013
23 O 0.571 0.951 0.695
24 O 0.592 0.711 0.341
25 O 0.640 0.864 0.008
26 O 0.649 0.400 0.657
27 O 0.707 0.352 0.342
28 O 0.771 0.569 0.706
29 O 0.775 0.924 0.159
30 O 0.858 0.218 0.846
31 O 0.866 0.479 0.010
32 O 0.914 0.140 0.161
33 O 0.951 0.766 0.710
34 O 0.991 0.369 0.514

---

# 3
## MgFe6O6F6 (PBE+U)

Data for a relaxed structure of MgFe6O6F6.

Results
For the calculated density, the calculation gives 4.1 g/cm3. The calculation puts the formation enthalpy at 0 K at -2061 meV per atom. Its electronic total energy is -0.4345 Ry per atom. Its volume is 12.096 A^3/atom.

Cell lengths 5.115, 5.738, 7.934 Å; angles 84.31, 85.50, 83.87 degrees
Fractional positions:
1 Mg 0.000 0.000 0.000
2 Fe 0.013 0.985 0.487
3 Fe 0.050 0.378 0.200
4 Fe 0.464 0.447 0.475
5 Fe 0.490 0.159 0.834
6 Fe 0.527 0.807 0.152
7 Fe 0.978 0.621 0.786
8 O 0.205 0.252 0.419
9 O 0.313 0.134 0.056
10 O 0.322 0.446 0.722
11 O 0.679 0.501 0.267
12 O 0.716 0.862 0.906
13 O 0.855 0.710 0.575
14 F 0.168 0.664 0.040
15 F 0.188 0.963 0.746
16 F 0.322 0.781 0.402
17 F 0.705 0.183 0.592
18 F 0.823 0.327 0.906
19 F 0.859 0.000 0.250

---

Q: formation enthalpy at 0 K of number 1 (LiMnF4)?
A: -2841 meV per atom

---

Q: formation enthalpy at 0 K of number 3 (MgFe6O6F6)?
A: -2061 meV per atom

---

Q: Number 1 is which compound?
A: LiMnF4